# PbS

A relaxed PbS crystal (GGA-PBE, the Materials Project database).

a b c (Å): 6.1459 6.2774 7.0039
angles (deg): 90.00 90.00 90.00
With the nearest neighbours (Å) after each atom.
Positions (direct):
Pb (0.3054, 0.0009, 0.2500)  3 S 2.61-2.71
S (0.7531, 0.4121, 0.7500)  2 Pb 2.61-2.66
S (0.0000, 0.8604, 0.5000)  4 Pb 2.71-2.82
Pb (0.6946, 0.0009, 0.7500)  3 S 2.61-2.71
Pb (0.1644, 0.5465, 0.7500)  3 S 2.66-2.82
S (0.0000, 0.8604, 0.0000)  4 Pb 2.71-2.82
S (0.2469, 0.4121, 0.2500)  2 Pb 2.61-2.66
Pb (0.8356, 0.5465, 0.2500)  3 S 2.66-2.82

The formation energy from the elements comes out at -59.4 kJ per mole of atoms. The calculated total energy is -34.3 eV per cell. The total magnetic moment comes out at 0.00 μB per formula unit. The energy with MP2020 corrections comes out at -4.54 eV per atom.